# Zn3Co2C12N12

An optimized crystal structure of Zn3Co2C12N12 (PBE, the Materials Project).

The space group is R-3c (No. 167, hexagonal axes) and the conventional cell measures 12.5390, 12.5390 and 32.5126 Å, with angles of 90.00, 90.00 and 120.00 degrees. The asymmetric unit holds Zn at (0.0000, 0.2899, 0.2500), Co at (0.0000, 0.0000, 0.1465), C at (0.0147, 0.1270, 0.1805), C at (0.0155, 0.1309, 0.8854), N at (0.0224, 0.2034, 0.2029) and N at (0.0256, 0.2160, 0.9034).

For the energy relative to the elements, the calculation gives 0.848 eV/f.u. As for the total magnetization: 0.00 μB/f.u. The total energy is -7.710 eV per atom.

---

# Rh4Pb5

An optimized crystal structure of Rh4Pb5 (PBE, the Materials Project).

The space group is Fmmm (No. 69) and the conventional cell measures 5.833, 9.995 and 27.084 Å, with angles of 90.00, 90.00 and 90.00 degrees. The asymmetric unit holds Rh at (0.000, 0.000, 0.084), Rh at (0.250, 0.250, 0.082), Rh at (0.250, 0.250, 0.250), Pb at (0.000, 0.000, 0.287), Pb at (0.000, 0.000, 0.412), Pb at (0.000, 0.164, 0.000) and Pb at (0.000, 0.167, 0.166).

For the energy relative to the elements, the calculation gives -0.719 eV/f.u. The total energy is -5.415 eV per atom.

---

# ThTeSO7

An optimized crystal structure of ThTeSO7 (PBE, the Materials Project).

The space group is P2_1/c (No. 14) and the conventional cell measures 7.680, 14.026 and 5.701 Å, with angles of 90.00, 109.42 and 90.00 degrees. The asymmetric unit holds Th at (0.090, 0.133, 0.419), Te at (0.235, 0.626, 0.771), S at (0.385, 0.139, 0.105), O at (0.067, 0.719, 0.825), O at (0.085, 0.587, 0.454), O at (0.132, 0.541, 0.953), O at (0.257, 0.219, 0.128), O at (0.317, 0.099, 0.850), O at (0.363, 0.068, 0.291) and O at (0.425, 0.673, 0.328).

For the energy relative to the elements, the calculation gives -25.427 eV/f.u. As for the total magnetization: 0.00 μB/f.u. The total energy is -6.995 eV per atom.

---

# LaHg2

An optimized crystal structure of LaHg2 (PBE, the Materials Project).

The space group is P-3m1 (No. 164) and the conventional cell measures 5.5706, 5.5706 and 3.5945 Å, with angles of 90.00, 90.00 and 120.00 degrees. The asymmetric unit holds La at (0.0000, 0.0000, 0.0000) and Hg at (0.3333, 0.6667, 0.0551).

For the energy relative to the elements, the calculation gives -0.340 eV/f.u. As for the total magnetization: 0.00 μB/f.u. The total energy is -1.961 eV per atom.